DFT (GGA+U) results for a relaxed Zn2Ni3O8 crystal.

## Properties
**Formation energy**: -13.14 eV per formula unit
**Symmetry**: No. 186
**Distance to the lowest polymorph of the same formula**: 18 meV per atom

Cell: 5.7536 5.7536 9.1885 Å, 90.00 90.00 120.00°
Closest atoms and distances in Å follow each position.
Positions (direct):
O  0.0000  0.0000  0.8483  3 Ni 1.90
Zn  0.6667  0.3333  0.4143  4 O 1.91-2.07
O  0.8439  0.1561  0.1418  2 Ni 1.87, 1 Zn 2.02
Ni  0.3322  0.1661  0.7466  6 O 1.87-1.94
O  0.5196  0.4804  0.8639  2 Ni 1.91, 1 Zn 1.91
Ni  0.6678  0.8339  0.2466  6 O 1.87-1.94
O  0.1561  0.3123  0.6418  2 Ni 1.87, 1 Zn 2.02
O  0.8439  0.6877  0.1418  2 Ni 1.87, 1 Zn 2.02
O  0.3333  0.6667  0.1392  3 Ni 1.94, 1 Zn 2.07
Zn  0.3333  0.6667  0.9143  4 O 1.91-2.07
O  0.4804  0.5196  0.3639  2 Ni 1.91, 1 Zn 1.91
O  0.3123  0.1561  0.1418  2 Ni 1.87, 1 Zn 2.02
O  0.9608  0.4804  0.8639  2 Ni 1.91, 1 Zn 1.91
Zn  0.3333  0.6667  0.5348  6 O 2.02-2.15
Ni  0.1661  0.8339  0.2466  6 O 1.87-1.94
O  0.4804  0.9608  0.3639  2 Ni 1.91, 1 Zn 1.91
O  0.5196  0.0392  0.8639  2 Ni 1.91, 1 Zn 1.91
Ni  0.8339  0.6678  0.7466  6 O 1.87-1.94
O  0.6877  0.8439  0.6418  2 Ni 1.87, 1 Zn 2.02
O  0.0392  0.5196  0.3639  2 Ni 1.91, 1 Zn 1.91
Ni  0.8339  0.1661  0.7466  6 O 1.87-1.94
O  0.1561  0.8439  0.6418  2 Ni 1.87, 1 Zn 2.02
O  0.0000  0.0000  0.3483  3 Ni 1.90
O  0.6667  0.3333  0.6392  3 Ni 1.94, 1 Zn 2.07
Ni  0.1661  0.3322  0.2466  6 O 1.87-1.94
Zn  0.6667  0.3333  0.0348  6 O 2.02-2.15

=====

DFT (GGA+U) results for a relaxed Cr2P4Pb3O16 crystal.

## Properties
**Formation energy**: -62.12 eV per formula unit
**Symmetry**: No. 14

Cell: 9.1384 9.0907 9.4217 Å, 63.10 90.00 90.00°
Closest atoms and distances in Å follow each position.
Positions (direct):
Pb  0.2081  0.3005  0.4690  4 O 2.43-2.52
O  0.6501  0.3917  0.5216  1 P 1.53
O  0.9545  0.6104  0.7584  1 P 1.57
O  0.2839  0.5894  0.7455  1 P 1.56
O  0.4584  0.3123  0.3707  1 P 1.54
P  0.4110  0.5755  0.6415  4 O 1.53-1.57
O  0.0046  0.0795  0.2437  1 P 1.56
O  0.2476  0.0999  0.3668  1 P 1.55
O  0.2524  0.0999  0.8668  1 P 1.55
O  0.7056  0.0926  0.2620  1 P 1.56
Pb  0.2919  0.3005  0.9690  4 O 2.43-2.52
O  0.0455  0.3896  0.2416  1 P 1.57
O  0.5416  0.6877  0.6293  1 P 1.54
P  0.5890  0.4245  0.3585  4 O 1.53-1.57
Cr  0.1312  0.7520  0.7454  6 O 1.99-2.03
O  0.7476  0.9001  0.1332  1 P 1.55
Cr  0.6312  0.2480  0.7546  6 O 1.99-2.03
Pb  0.5000  0.0000  0.5000  8 O 2.56-2.75
O  0.5911  0.1572  0.9916  1 P 1.54
O  0.2944  0.9074  0.7380  1 P 1.56
P  0.0890  0.5755  0.1415  4 O 1.53-1.57
Pb  0.0000  0.0000  0.0000  8 O 2.56-2.75
P  0.3612  0.9809  0.8451  4 O 1.54-1.56
O  0.7524  0.9001  0.6332  1 P 1.55
O  0.7839  0.4106  0.7545  1 P 1.56
O  0.2056  0.9074  0.2380  1 P 1.56
P  0.6388  0.0191  0.1549  4 O 1.54-1.56
O  0.4089  0.8428  0.0084  1 P 1.54
Pb  0.7081  0.6995  0.0310  4 O 2.43-2.52
O  0.4954  0.0795  0.7437  1 P 1.56
O  0.9089  0.1572  0.4916  1 P 1.54
O  0.4545  0.3896  0.7416  1 P 1.57
Cr  0.8688  0.2480  0.2546  6 O 1.99-2.03
P  0.9110  0.4245  0.8585  4 O 1.53-1.57
P  0.8612  0.0191  0.6549  4 O 1.54-1.56
O  0.3499  0.6083  0.4784  1 P 1.53
O  0.9584  0.6877  0.1293  1 P 1.54
O  0.5455  0.6104  0.2584  1 P 1.57
O  0.2161  0.5894  0.2455  1 P 1.56
P  0.1388  0.9809  0.3451  4 O 1.54-1.56
O  0.8499  0.3917  0.0216  1 P 1.53
O  0.0911  0.8428  0.5084  1 P 1.54
O  0.5046  0.9205  0.2563  1 P 1.56
Cr  0.3688  0.7520  0.2454  6 O 1.99-2.03
O  0.7944  0.0926  0.7620  1 P 1.56
O  0.1501  0.6083  0.9784  1 P 1.53
O  0.0416  0.3123  0.8707  1 P 1.54
O  0.7161  0.4106  0.2545  1 P 1.56
Pb  0.7919  0.6995  0.5310  4 O 2.43-2.52
O  0.9954  0.9205  0.7563  1 P 1.56

=====

DFT (GGA+U) results for a relaxed LiMnF4 crystal.

## Properties
**Formation energy**: -17.23 eV per formula unit
**Symmetry**: No. 14

Cell: 7.4308 5.1443 7.6509 Å, 83.84 90.00 90.00°
Closest atoms and distances in Å follow each position.
Positions (direct):
F  0.5579  0.2962  0.6013  1 Mn 1.83, 1 Li 1.90
Li  0.2633  0.5738  0.7872  3 F 1.90-2.02
F  0.1227  0.6903  0.5672  1 Mn 1.86, 1 Li 2.02
F  0.4421  0.7038  0.3987  1 Mn 1.83, 1 Li 1.90
F  0.2253  0.1745  0.4593  1 Mn 1.91
Mn  0.0000  0.0000  0.0000  4 F 1.83-1.93
F  0.8773  0.3097  0.4328  1 Mn 1.86, 1 Li 2.02
F  0.9535  0.1613  0.7653  1 Mn 1.93, 1 Li 1.97
F  0.4535  0.8387  0.7347  1 Mn 1.93, 1 Li 1.97
F  0.7253  0.8255  0.0407  1 Mn 1.91
Mn  0.0000  0.0000  0.5000  4 F 1.86-1.91
F  0.5465  0.1613  0.2653  1 Mn 1.93, 1 Li 1.97
F  0.7747  0.8255  0.5407  1 Mn 1.91
Li  0.2367  0.5738  0.2872  3 F 1.90-2.02
F  0.3773  0.6903  0.0672  1 Mn 1.86, 1 Li 2.02
Li  0.7367  0.4262  0.2128  3 F 1.90-2.02
Mn  0.5000  0.0000  0.5000  4 F 1.83-1.93
Mn  0.5000  0.0000  0.0000  4 F 1.86-1.91
F  0.9421  0.2962  0.1013  1 Mn 1.83, 1 Li 1.90
F  0.0465  0.8387  0.2347  1 Mn 1.93, 1 Li 1.97
Li  0.7633  0.4262  0.7128  3 F 1.90-2.02
F  0.2747  0.1745  0.9593  1 Mn 1.91
F  0.0579  0.7038  0.8987  1 Mn 1.83, 1 Li 1.90
F  0.6227  0.3097  0.9328  1 Mn 1.86, 1 Li 2.02

=====

DFT (GGA+U) results for a relaxed BaYMnCuO5 crystal.

## Properties
**Formation energy**: -22.82 eV per formula unit
**Symmetry**: No. 42
**Distance to the lowest polymorph of the same formula**: 3 meV per atom

Cell: 5.5149 5.5149 8.7441 Å, 71.68 71.68 90.25°
Closest atoms and distances in Å follow each position.
Positions (direct):
O  0.4284  0.4298  0.6416  2 Mn 2.00-2.01
Ba  0.5051  0.5051  0.9897  8 O 2.77-3.00
Cu  0.3796  0.8796  0.2407  4 O 1.98
O  0.9298  0.9284  0.6416  2 Mn 2.00-2.01
Mn  0.6500  0.1500  0.6998  5 O 1.98-2.01
O  0.6116  0.6096  0.2788  2 Cu 1.96-1.98
Ba  0.0051  0.0051  0.9897  8 O 2.77-3.00
Cu  0.8767  0.3767  0.2465  4 O 1.96
O  0.0247  0.5247  0.9511  1 Mn 1.97
O  0.1096  0.1116  0.2788  2 Cu 1.96-1.98
O  0.6110  0.1110  0.2800  2 Cu 1.96-1.98
Y  0.7704  0.7704  0.4594  8 O 2.40-2.43
O  0.4279  0.9279  0.6433  2 Mn 1.99-2.00
Mn  0.1504  0.6504  0.6990  5 O 1.97-2.00
O  0.1089  0.6089  0.2800  2 Cu 1.96-1.98
O  0.9287  0.4287  0.6434  2 Mn 1.99-2.00
O  0.5238  0.0238  0.9530  1 Mn 1.98
Y  0.2704  0.2704  0.4594  8 O 2.40-2.43

=====

DFT (GGA+U) results for a relaxed Li9Mn2Co5O16 crystal.

## Properties
**Formation energy**: -58.65 eV per formula unit
**Symmetry**: No. 1
**Distance to the lowest polymorph of the same formula**: 31 meV per atom

Cell: 5.1747 7.6168 7.7391 Å, 93.88 108.30 96.71°
Closest atoms and distances in Å follow each position.
Positions (direct):
O  0.7649  0.1069  0.5357  2 Co 1.92-1.96, 4 Li 2.02-2.13
O  0.9809  0.1580  0.2028  2 Mn 1.95-1.96, 1 Li 2.13
O  0.3492  0.2824  0.5884  3 Co 1.99-2.11, 3 Li 2.06-2.08
O  0.4932  0.3373  0.2745  1 Mn 1.95, 2 Co 1.98-2.10, 2 Li 2.11-2.15
Mn  0.1276  0.3750  0.1255  6 O 1.91-1.96
O  0.3753  0.9681  0.1522  1 Mn 1.99, 2 Co 1.99-2.07, 2 Li 2.10-2.16
O  0.0360  0.8450  0.8019  1 Mn 1.93, 1 Co 1.93, 3 Li 2.05-2.15
O  0.8548  0.7948  0.0858  1 Mn 1.92, 1 Co 2.05, 1 Li 2.14
O  0.0980  0.5214  0.3293  1 Mn 1.93, 2 Co 2.05-2.12, 2 Li 2.06-2.13
O  0.6362  0.7068  0.4057  2 Co 1.90-2.04, 3 Li 2.03-2.08
Li  0.9469  0.3147  0.4458  5 O 2.02-2.22
Co  0.7515  0.2498  0.7464  5 O 1.91-2.11
Li  0.3023  0.4349  0.8044  5 O 1.99-2.19
Co  0.8605  0.6325  0.8657  5 O 1.93-2.05
O  0.4816  0.6456  0.7239  2 Co 1.94-1.99, 3 Li 1.99-2.11
O  0.2170  0.9065  0.4524  2 Co 1.91-1.97, 3 Li 2.05-2.10
O  0.6424  0.0434  0.8485  1 Co 1.91, 1 Mn 1.93, 2 Li 2.05-2.07
Li  0.6254  0.8756  0.6252  6 O 2.05-2.18
O  0.2666  0.5864  0.0450  1 Mn 1.91, 1 Co 2.03
Co  0.2543  0.7541  0.2574  5 O 1.91-2.05
O  0.8830  0.4631  0.6592  3 Co 1.93-2.05, 3 Li 2.07-2.16
Li  0.8134  0.9332  0.3248  5 O 2.05-2.23
Li  0.1717  0.0596  0.6746  5 O 2.08-2.23
Li  0.4364  0.8103  0.9302  6 O 2.05-2.20
Co  0.3869  0.1242  0.3842  6 O 1.96-2.18
Mn  0.0004  0.0003  0.9977  6 O 1.92-1.99
Li  0.5652  0.1841  0.0607  6 O 2.07-2.14
Li  0.0690  0.6921  0.5672  6 O 2.09-2.24
Co  0.5012  0.5068  0.5027  6 O 1.90-2.12
O  0.7608  0.4042  0.9667  1 Mn 1.96, 2 Co 1.99-2.03, 1 Li 2.14
Li  0.6888  0.5659  0.1904  6 O 2.03-2.21
O  0.1588  0.2172  0.9249  2 Mn 1.95-1.96, 2 Li 2.09-2.13, 1 Co 2.18

=====

Number 1: electronic total energy -118.938 eV/cell, magnetization 0.000 μB/atom. Number 2: electronic total energy -356.787 eV/cell, magnetization 0.240 μB/atom. Number 3: electronic total energy -129.776 eV/cell, magnetization 0.667 μB/atom. Number 4: electronic total energy -128.217 eV/cell, magnetization 0.431 μB/atom. Number 5: electronic total energy -186.350 eV/cell, magnetization 0.250 μB/atom.